Entry 1:
This record from Materials Project describes an optimized crystal structure of La3As2BrO7. The functional is PBE-GGA.

Lattice parameters (Å, degrees): 13.1739 13.1739 5.6725 90.00 90.00 90.00
Last column: nearest neighbours and their distance in Å.
Atoms (fractional coordinates):
La 0.0467 0.3629 0.0000  4 O 2.38-2.61
La 0.1371 0.5467 0.5000  4 O 2.38-2.61
La 0.2375 0.7625 0.0000  6 O 2.41-2.49
La 0.2625 0.2625 0.5000  6 O 2.41-2.49
La 0.3629 0.0467 0.0000  4 O 2.38-2.61
La 0.4533 0.8629 0.5000  4 O 2.38-2.61
La 0.5467 0.1371 0.5000  4 O 2.38-2.61
La 0.6371 0.9533 0.0000  4 O 2.38-2.61
La 0.7375 0.7375 0.5000  6 O 2.41-2.49
La 0.7625 0.2375 0.0000  6 O 2.41-2.49
La 0.8629 0.4533 0.5000  4 O 2.38-2.61
La 0.9533 0.6371 0.0000  4 O 2.38-2.61
As 0.0273 0.7889 0.5000  3 O 1.79-1.83
As 0.2112 0.9727 0.5000  3 O 1.79-1.83
As 0.2888 0.4727 0.0000  3 O 1.79-1.83
As 0.4727 0.2888 0.0000  3 O 1.79-1.83
As 0.5273 0.7111 0.0000  3 O 1.79-1.83
As 0.7111 0.5273 0.0000  3 O 1.79-1.83
As 0.7889 0.0273 0.5000  3 O 1.79-1.83
As 0.9727 0.2112 0.5000  3 O 1.79-1.83
Br 0.1472 0.1472 0.0000  2 La 3.14
Br 0.3528 0.6472 0.5000  2 La 3.14
Br 0.6472 0.3528 0.5000  2 La 3.14
Br 0.8528 0.8528 0.0000  2 La 3.14
O 0.0000 0.5000 0.2500  4 La 2.38
O 0.0000 0.5000 0.7500  4 La 2.38
O 0.0818 0.2922 0.5000  1 As 1.79
O 0.0924 0.7202 0.2634  1 As 1.83
O 0.0924 0.7202 0.7366  1 As 1.83
O 0.2078 0.5818 0.0000  1 As 1.79
O 0.2202 0.4076 0.2366  1 As 1.83
O 0.2202 0.4076 0.7634  1 As 1.83
O 0.2798 0.9076 0.2634  1 As 1.83
O 0.2798 0.9076 0.7366  1 As 1.83
O 0.2922 0.0818 0.5000  1 As 1.79
O 0.4076 0.2202 0.2366  1 As 1.83
O 0.4076 0.2202 0.7634  1 As 1.83
O 0.4182 0.7922 0.0000  1 As 1.79
O 0.5000 0.0000 0.2500  4 La 2.38
O 0.5000 0.0000 0.7500  4 La 2.38
O 0.5818 0.2078 0.0000  1 As 1.79
O 0.5924 0.7798 0.2366  1 As 1.83
O 0.5924 0.7798 0.7634  1 As 1.83
O 0.7078 0.9182 0.5000  1 As 1.79
O 0.7202 0.0924 0.2634  1 As 1.83
O 0.7202 0.0924 0.7366  1 As 1.83
O 0.7798 0.5924 0.2366  1 As 1.83
O 0.7798 0.5924 0.7634  1 As 1.83
O 0.7922 0.4182 0.0000  1 As 1.79
O 0.9076 0.2798 0.2634  1 As 1.83
O 0.9076 0.2798 0.7366  1 As 1.83
O 0.9182 0.7078 0.5000  1 As 1.79

calculated formation energy = -288.6 kJ/mol of atoms
M_tot = 0.00 μB per formula unit

***

Entry 2:
This record from Materials Project describes an optimized crystal structure of Ge4Se9. The functional is PBE-GGA.

Lattice parameters (Å, degrees): 18.1264 7.1668 12.3712 90.00 90.00 90.00
Last column: nearest neighbours and their distance in Å.
Atoms (fractional coordinates):
Ge 0.0410 0.1748 0.0000  4 Se 2.40-2.42
Ge 0.1456 0.6788 0.5054  4 Se 2.40-2.42
Ge 0.1700 0.8152 0.0799  4 Se 2.38-2.40
Ge 0.2251 0.3109 0.0686  4 Se 2.39-2.41
Ge 0.2749 0.3109 0.5686  4 Se 2.39-2.41
Ge 0.3300 0.8152 0.5799  4 Se 2.38-2.40
Ge 0.3544 0.6788 0.0054  4 Se 2.40-2.42
Ge 0.4590 0.1748 0.5000  4 Se 2.40-2.42
Ge 0.5410 0.8252 0.0000  4 Se 2.40-2.42
Ge 0.6456 0.3212 0.5054  4 Se 2.40-2.42
Ge 0.6700 0.1848 0.0799  4 Se 2.38-2.40
Ge 0.7251 0.6891 0.0686  4 Se 2.39-2.41
Ge 0.7749 0.6891 0.5686  4 Se 2.39-2.41
Ge 0.8300 0.1848 0.5799  4 Se 2.38-2.40
Ge 0.8544 0.3212 0.0054  4 Se 2.40-2.42
Ge 0.9590 0.8252 0.5000  4 Se 2.40-2.42
Se 0.0074 0.3294 0.1672  1 Se 2.38, 1 Ge 2.42
Se 0.0441 0.8405 0.0253  2 Ge 2.39-2.42
Se 0.0544 0.7568 0.3714  2 Ge 2.40-2.41
Se 0.1081 0.8274 0.6715  1 Se 2.38, 1 Ge 2.41
Se 0.1480 0.3420 0.5193  2 Ge 2.39-2.42
Se 0.1487 0.2971 0.9111  2 Ge 2.39-2.41
Se 0.1791 0.5431 0.1928  2 Ge 2.40-2.41
Se 0.2137 0.0593 0.1967  2 Ge 2.40-2.41
Se 0.2447 0.7973 0.9219  2 Ge 2.38-2.40
Se 0.2553 0.7973 0.4219  2 Ge 2.38-2.40
Se 0.2863 0.0593 0.6967  2 Ge 2.40-2.41
Se 0.3209 0.5431 0.6928  2 Ge 2.40-2.41
Se 0.3513 0.2971 0.4111  2 Ge 2.39-2.41
Se 0.3520 0.3420 0.0193  2 Ge 2.39-2.42
Se 0.3919 0.8274 0.1715  1 Se 2.38, 1 Ge 2.41
Se 0.4456 0.7568 0.8714  2 Ge 2.40-2.41
Se 0.4559 0.8405 0.5253  2 Ge 2.39-2.42
Se 0.4926 0.3294 0.6672  1 Se 2.38, 1 Ge 2.42
Se 0.5074 0.6706 0.1672  1 Se 2.38, 1 Ge 2.42
Se 0.5441 0.1595 0.0253  2 Ge 2.39-2.42
Se 0.5544 0.2432 0.3714  2 Ge 2.40-2.41
Se 0.6081 0.1726 0.6715  1 Se 2.38, 1 Ge 2.41
Se 0.6480 0.6580 0.5193  2 Ge 2.39-2.42
Se 0.6487 0.7029 0.9111  2 Ge 2.39-2.41
Se 0.6791 0.4569 0.1928  2 Ge 2.40-2.41
Se 0.7137 0.9407 0.1967  2 Ge 2.40-2.41
Se 0.7447 0.2027 0.9219  2 Ge 2.38-2.40
Se 0.7553 0.2027 0.4219  2 Ge 2.38-2.40
Se 0.7863 0.9407 0.6967  2 Ge 2.40-2.41
Se 0.8209 0.4569 0.6928  2 Ge 2.40-2.41
Se 0.8513 0.7029 0.4111  2 Ge 2.39-2.41
Se 0.8520 0.6580 0.0193  2 Ge 2.39-2.42
Se 0.8919 0.1726 0.1715  1 Se 2.38, 1 Ge 2.41
Se 0.9456 0.2432 0.8714  2 Ge 2.40-2.41
Se 0.9559 0.1595 0.5253  2 Ge 2.39-2.42
Se 0.9926 0.6706 0.6672  1 Se 2.38, 1 Ge 2.42

calculated formation energy = -54.4 kJ/mol of atoms

***

Which formula does entry 2 have? Ge4Se9